Record 1
A plane-wave DFT calculation with r2SCAN was carried out for K2Cr2O7 after structural relaxation.

The space group is C2/c (No. 15) and the conventional cell measures 12.943, 7.365 and 7.413 Å, with angles of 90.00, 91.76 and 90.00 degrees. The inequivalent atoms are K at (0.146, 0.145, 0.360), Cr at (0.103, 0.327, 0.868), O at (0.000, 0.437, 0.750), O at (0.058, 0.194, 0.021), O at (0.164, 0.203, 0.725) and O at (0.179, 0.479, 0.955).

The calculation puts the volume at 16.05 Å³ per atom. The total energy comes out at -9.645 eV per atom. The value obtained for the mass density is 2.767 g cm⁻³. The value obtained for the size of the total moment is 0.00 μB per formula unit.


Record 2
A plane-wave DFT calculation with r2SCAN was carried out for BaNb4O6 after structural relaxation.

The space group is P4/mmm (No. 123) and the conventional cell measures 4.226, 4.226 and 8.268 Å, with angles of 90.00, 90.00 and 90.00 degrees. The inequivalent atoms are Ba at (0.000, 0.000, 0.000), Nb at (0.000, 0.500, 0.500), Nb at (0.500, 0.500, 0.254), O at (0.000, 0.000, 0.500), O at (0.000, 0.500, 0.243) and O at (0.500, 0.500, 0.000).

The calculation puts the volume at 13.43 Å³ per atom. The total energy comes out at -17.225 eV per atom. The value obtained for the mass density is 6.802 g cm⁻³. The value obtained for the size of the total moment is 0.00 μB per formula unit.


Record 3
A plane-wave DFT calculation with r2SCAN was carried out for MgAl2O4 after structural relaxation.

The space group is Fd-3m (No. 227, origin choice 2) and the conventional cell measures 8.080, 8.080 and 8.080 Å, with angles of 90.00, 90.00 and 90.00 degrees. The inequivalent atoms are Mg at (0.125, 0.125, 0.125), Al at (0.000, 0.000, 0.500) and O at (0.014, 0.014, 0.736).

The calculation puts the volume at 9.42 Å³ per atom. The total energy comes out at -9.224 eV per atom. The value obtained for the mass density is 3.582 g cm⁻³. The excess energy over the best structure of this formula in the dataset comes out at 0.00 eV/f.u. The value obtained for the size of the total moment is 0.00 μB per formula unit.


Record 4
A plane-wave DFT calculation with r2SCAN was carried out for Pu2C3 after structural relaxation.

The space group is I-43d (No. 220) and the conventional cell measures 8.172, 8.172 and 8.172 Å, with angles of 90.00, 90.00 and 90.00 degrees. The inequivalent atoms are Pu at (0.048, 0.452, 0.548) and C at (0.000, 0.250, 0.790).

The calculation puts the volume at 13.64 Å³ per atom. The total energy comes out at -40.796 eV per atom. The value obtained for the mass density is 12.757 g cm⁻³. The value obtained for the size of the total moment is 8.54 μB per formula unit.


Record 5
A plane-wave DFT calculation with r2SCAN was carried out for YThCo10 after structural relaxation.

The space group is Pmmm (No. 47) and the conventional cell measures 3.890, 4.897 and 8.844 Å, with angles of 90.00, 90.00 and 90.00 degrees. The inequivalent atoms are Y at (0.000, 0.000, 0.000), Th at (0.000, 0.500, 0.500), Co at (0.000, 0.000, 0.330), Co at (0.000, 0.500, 0.156), Co at (0.500, 0.000, 0.500), Co at (0.500, 0.243, 0.244) and Co at (0.500, 0.500, 0.000).

The calculation puts the volume at 14.04 Å³ per atom. The total energy comes out at -18.918 eV per atom. The value obtained for the mass density is 8.971 g cm⁻³. The value obtained for the size of the total moment is 15.03 μB per formula unit.


Record 6
A plane-wave DFT calculation with r2SCAN was carried out for VH2 after structural relaxation.

The space group is Fm-3m (No. 225) and the conventional cell measures 4.195, 4.195 and 4.195 Å, with angles of 90.00, 90.00 and 90.00 degrees. The inequivalent atoms are V at (0.000, 0.000, 0.000) and H at (0.250, 0.250, 0.250).

The calculation puts the volume at 6.15 Å³ per atom. The total energy comes out at -7.227 eV per atom. The value obtained for the mass density is 4.764 g cm⁻³. The value obtained for the size of the total moment is 0.00 μB per formula unit.


Record 7
A plane-wave DFT calculation with r2SCAN was carried out for BaHCl after structural relaxation.

The space group is P4/nmm (No. 129, origin choice 2) and the conventional cell measures 4.421, 4.421 and 7.269 Å, with angles of 90.00, 90.00 and 90.00 degrees. The inequivalent atoms are Ba at (0.250, 0.250, 0.208), H at (0.250, 0.750, 0.000) and Cl at (0.250, 0.250, 0.654).

The calculation puts the volume at 23.68 Å³ per atom. The total energy comes out at -13.804 eV per atom. The value obtained for the mass density is 4.062 g cm⁻³. The value obtained for the size of the total moment is 0.00 μB per formula unit.


Record 8
A plane-wave DFT calculation with r2SCAN was carried out for Ag after structural relaxation.

The space group is P6_3/mmc (No. 194) and the conventional cell measures 2.9223, 2.9223 and 4.7017 Å, with angles of 90.00, 90.00 and 120.00 degrees. The inequivalent atoms are Ag at (0.3333, 0.6667, 0.2500).

The calculation puts the volume at 17.39 Å³ per atom. The total energy comes out at -21.348 eV per atom. The value obtained for the mass density is 10.302 g cm⁻³. The excess energy over the best structure of this formula in the dataset comes out at 0.01 eV/f.u. The value obtained for the size of the total moment is 0.00 μB per formula unit.


Record 9
A plane-wave DFT calculation with r2SCAN was carried out for KCrN after structural relaxation.

The space group is Cm (No. 8) and the conventional cell measures 5.523, 3.182 and 6.146 Å, with angles of 90.00, 91.03 and 90.00 degrees. The inequivalent atoms are K at (0.000, 0.000, 0.000), Cr at (0.176, 0.500, 0.446) and N at (0.341, 0.000, 0.342).

The calculation puts the volume at 18.00 Å³ per atom. The total energy comes out at -10.205 eV per atom. The value obtained for the mass density is 3.232 g cm⁻³. The value obtained for the size of the total moment is 3.00 μB per formula unit.


Record 10
A plane-wave DFT calculation with r2SCAN was carried out for CaZrF6 after structural relaxation.

The space group is Fm-3m (No. 225) and the conventional cell measures 8.537, 8.537 and 8.537 Å, with angles of 90.00, 90.00 and 90.00 degrees. The inequivalent atoms are Ca at (0.000, 0.000, 0.000), Zr at (0.000, 0.000, 0.500) and F at (0.000, 0.000, 0.264).

The calculation puts the volume at 19.44 Å³ per atom. The total energy comes out at -10.157 eV per atom. The value obtained for the mass density is 2.619 g cm⁻³. The value obtained for the size of the total moment is 0.00 μB per formula unit.


Record 11
A plane-wave DFT calculation with r2SCAN was carried out for SrMoO4 after structural relaxation.

The space group is I4_1/a (No. 88, origin choice 2) and the conventional cell measures 5.408, 5.408 and 11.981 Å, with angles of 90.00, 90.00 and 90.00 degrees. The inequivalent atoms are Sr at (0.000, 0.250, 0.125), Mo at (0.000, 0.250, 0.625) and O at (0.138, 0.014, 0.706).

The calculation puts the volume at 14.60 Å³ per atom. The total energy comes out at -13.641 eV per atom. The value obtained for the mass density is 4.692 g cm⁻³. The value obtained for the size of the total moment is 0.00 μB per formula unit.


Record 12
A plane-wave DFT calculation with r2SCAN was carried out for Pr4MgCo after structural relaxation.

The space group is F-43m (No. 216) and the conventional cell measures 14.054, 14.054 and 14.054 Å, with angles of 90.00, 90.00 and 90.00 degrees. The inequivalent atoms are Pr at (0.000, 0.000, 0.188), Pr at (0.061, 0.250, 0.750), Pr at (0.156, 0.156, 0.344), Mg at (0.078, 0.078, 0.578) and Co at (0.141, 0.141, 0.141).

The calculation puts the volume at 28.92 Å³ per atom. The total energy comes out at -22.527 eV per atom. The value obtained for the mass density is 6.191 g cm⁻³. The value obtained for the size of the total moment is 0.00 μB per formula unit.


Record 13
A plane-wave DFT calculation with r2SCAN was carried out for ErCdAg2 after structural relaxation.

The space group is Fm-3m (No. 225) and the conventional cell measures 6.885, 6.885 and 6.885 Å, with angles of 90.00, 90.00 and 90.00 degrees. The inequivalent atoms are Er at (0.000, 0.000, 0.000), Cd at (0.000, 0.000, 0.500) and Ag at (0.250, 0.250, 0.250).

The calculation puts the volume at 20.40 Å³ per atom. The total energy comes out at -24.471 eV per atom. The value obtained for the mass density is 10.083 g cm⁻³. The value obtained for the size of the total moment is 0.00 μB per formula unit.


Record 14
A plane-wave DFT calculation with r2SCAN was carried out for Ti2FeIr after structural relaxation.

The space group is Fm-3m (No. 225) and the conventional cell measures 6.111, 6.111 and 6.111 Å, with angles of 90.00, 90.00 and 90.00 degrees. The inequivalent atoms are Ti at (0.250, 0.250, 0.250), Fe at (0.000, 0.000, 0.000) and Ir at (0.000, 0.000, 0.500).

The calculation puts the volume at 14.27 Å³ per atom. The total energy comes out at -23.836 eV per atom. The value obtained for the mass density is 10.004 g cm⁻³. The value obtained for the size of the total moment is 0.88 μB per formula unit.


Record 15
A plane-wave DFT calculation with r2SCAN was carried out for Pr3Lu after structural relaxation.

The space group is P6_3/mmc (No. 194) and the conventional cell measures 7.4644, 7.4644 and 5.8560 Å, with angles of 90.00, 90.00 and 120.00 degrees. The inequivalent atoms are Pr at (0.1694, 0.3388, 0.2500) and Lu at (0.3333, 0.6667, 0.7500).

The calculation puts the volume at 35.32 Å³ per atom. The total energy comes out at -31.540 eV per atom. The value obtained for the mass density is 7.025 g cm⁻³. The value obtained for the size of the total moment is 1.23 μB per formula unit.


Record 16
A plane-wave DFT calculation with r2SCAN was carried out for SrLaHg2 after structural relaxation.

The space group is Fm-3m (No. 225) and the conventional cell measures 7.843, 7.843 and 7.843 Å, with angles of 90.00, 90.00 and 90.00 degrees. The inequivalent atoms are Sr at (0.000, 0.000, 0.000), La at (0.000, 0.000, 0.500) and Hg at (0.250, 0.250, 0.250).

The calculation puts the volume at 30.15 Å³ per atom. The total energy comes out at -36.486 eV per atom. The value obtained for the mass density is 8.642 g cm⁻³. The value obtained for the size of the total moment is 0.00 μB per formula unit.


Record 17
A plane-wave DFT calculation with r2SCAN was carried out for HoTe3 after structural relaxation.

The space group is Cmcm (No. 63) and the conventional cell measures 4.324, 26.272 and 4.328 Å, with angles of 90.00, 90.00 and 90.00 degrees. The inequivalent atoms are Ho at (0.000, 0.172, 0.250), Te at (0.000, 0.077, 0.750), Te at (0.000, 0.293, 0.250) and Te at (0.000, 0.423, 0.750).

The calculation puts the volume at 30.73 Å³ per atom. The total energy comes out at -28.310 eV per atom. The value obtained for the mass density is 7.399 g cm⁻³. The value obtained for the size of the total moment is 0.00 μB per formula unit.


Record 18
A plane-wave DFT calculation with r2SCAN was carried out for TbPbAu after structural relaxation.

The space group is F-43m (No. 216) and the conventional cell measures 6.798, 6.798 and 6.798 Å, with angles of 90.00, 90.00 and 90.00 degrees. The inequivalent atoms are Tb at (0.000, 0.000, 0.000), Pb at (0.000, 0.000, 0.500) and Au at (0.250, 0.250, 0.250).

The calculation puts the volume at 26.18 Å³ per atom. The total energy comes out at -46.873 eV per atom. The value obtained for the mass density is 11.904 g cm⁻³. The value obtained for the size of the total moment is 0.00 μB per formula unit.


Record 19
A plane-wave DFT calculation with r2SCAN was carried out for Li3AlH6 after structural relaxation.

The space group is R-3 (No. 148, hexagonal axes) and the conventional cell measures 7.9559, 7.9559 and 9.3891 Å, with angles of 90.00, 90.00 and 120.00 degrees. The inequivalent atoms are Li at (0.0432, 0.2684, 0.2074), Al at (0.0000, 0.0000, 0.0000), Al at (0.0000, 0.0000, 0.5000), H at (0.0230, 0.1831, 0.8881) and H at (0.0263, 0.1953, 0.4004).

The calculation puts the volume at 8.58 Å³ per atom. The total energy comes out at -3.818 eV per atom. The value obtained for the mass density is 1.042 g cm⁻³. The value obtained for the size of the total moment is 0.00 μB per formula unit.


Record 20
A plane-wave DFT calculation with r2SCAN was carried out for CeGaAg after structural relaxation.

The space group is Cm (No. 8) and the conventional cell measures 10.815, 4.693 and 7.269 Å, with angles of 90.00, 132.19 and 90.00 degrees. The inequivalent atoms are Ce at (0.000, 0.000, 0.000), Ce at (0.054, 0.000, 0.553), Ga at (0.195, 0.500, 0.000), Ga at (0.195, 0.500, 0.385), Ag at (0.362, 0.000, 0.143) and Ag at (0.362, 0.000, 0.582).

The calculation puts the volume at 22.78 Å³ per atom. The total energy comes out at -21.731 eV per atom. The value obtained for the mass density is 7.720 g cm⁻³. The value obtained for the size of the total moment is 1.14 μB per formula unit.


Record 21
A plane-wave DFT calculation with r2SCAN was carried out for Cs3BS3 after structural relaxation.

The space group is P2_1/c (No. 14) and the conventional cell measures 10.651, 6.682 and 13.763 Å, with angles of 90.00, 102.03 and 90.00 degrees. The inequivalent atoms are Cs at (0.037, 0.217, 0.358), Cs at (0.253, 0.651, 0.491), Cs at (0.401, 0.050, 0.300), B at (0.234, 0.128, 0.627), S at (0.091, 0.213, 0.117), S at (0.276, 0.553, 0.230) and S at (0.338, 0.156, 0.538).

The calculation puts the volume at 34.22 Å³ per atom. The total energy comes out at -16.482 eV per atom. The value obtained for the mass density is 3.506 g cm⁻³. The value obtained for the size of the total moment is 0.00 μB per formula unit.


Record 22
A plane-wave DFT calculation with r2SCAN was carried out for LiMn2S4 after structural relaxation.

The space group is Imma (No. 74) and the conventional cell measures 6.942, 7.091 and 9.972 Å, with angles of 90.00, 90.00 and 90.00 degrees. The inequivalent atoms are Li at (0.000, 0.000, 0.000), Mn at (0.000, 0.000, 0.500), Mn at (0.250, 0.250, 0.250), S at (0.000, 0.023, 0.252) and S at (0.241, 0.250, 0.487).

The calculation puts the volume at 17.53 Å³ per atom. The total energy comes out at -10.127 eV per atom. The value obtained for the mass density is 3.317 g cm⁻³. The excess energy over the best structure of this formula in the dataset comes out at 0.05 eV/f.u. The value obtained for the size of the total moment is 7.00 μB per formula unit.